Computed, not measured: a geometry-optimized CeSe2 structure at the GGA-PBE level of DFT.

The structure in POSCAR format:
```
CeSe2
1.0
7.721 0.000 0.000
-3.860 6.686 0.000
0.000 0.000 4.248
Ce Se
3 6
direct
0.000 0.000 0.000
0.333 0.667 0.500
0.667 0.333 0.500
0.000 0.259 0.500
0.000 0.596 0.000
0.259 0.000 0.500
0.404 0.404 0.000
0.596 0.000 0.000
0.741 0.741 0.500
```

Results
For the total energy, the calculation gives -5.892 eV/atom. The calculation puts the piezoelectric modulus e_max at 1.5 C/m2. The calculation puts the MP2020-corrected energy at -6.21 eV per atom. Its space-group type is P-62m, No. 189. For the energy of formation, the calculation gives -1899 meV/atom.